# PuTe3 | the Materials Project | PBE | relaxed
# Energy of formation from the pure elements in eV/atom: -1.0470
data_PuTe3
_chemical_formula_sum 'Pu4 Te12'
_cell_length_a 4.328
_cell_length_b 24.863
_cell_length_c 4.375
_cell_angle_alpha 90.00
_cell_angle_beta 90.00
_cell_angle_gamma 90.00
_symmetry_space_group_name_H-M 'C m c m'
_symmetry_Int_Tables_number 63
_symmetry_space_group_name_Hall '-C 2c 2'
loop_
_atom_site_label
_atom_site_fract_x
_atom_site_fract_y
_atom_site_fract_z
Pu1 0.000 0.168 0.250
Te1 0.000 0.072 0.750
Te2 0.000 0.298 0.250
Te3 0.000 0.427 0.750


# ErHg | the Materials Project | PBE | relaxed
# Energy of formation from the pure elements in eV/atom: -0.4850
data_ErHg
_chemical_formula_sum 'Er1 Hg1'
_cell_length_a 3.698
_cell_length_b 3.698
_cell_length_c 3.698
_cell_angle_alpha 90.00
_cell_angle_beta 90.00
_cell_angle_gamma 90.00
_symmetry_space_group_name_H-M 'P m -3 m'
_symmetry_Int_Tables_number 221
_symmetry_space_group_name_Hall '-P 4 2 3'
loop_
_atom_site_label
_atom_site_fract_x
_atom_site_fract_y
_atom_site_fract_z
Er1 0.000 0.000 0.000
Hg1 0.500 0.500 0.500


Calculated volume values (in Å³/cell) by entry order: 470.7, 50.6.